(one)
VASP calculation (GGA+U) on MgV2O2F4 after structural relaxation.

Lattice parameters (Å, degrees): 5.2516 5.2587 5.3971 61.79 61.76 64.97
Last column: nearest neighbours and their distance in Å.
Sites, in units of the cell vectors:
Mg (0.0000, 0.0000, 0.0000)  1 O 1.96, 2 F 1.99
V (0.3042, 0.1952, 0.2617)  2 O 1.86-1.92, 2 F 2.04-2.08
V (0.8034, 0.6945, 0.7484)  2 O 1.86-1.92, 2 F 2.04-2.08
O (0.0020, 0.9968, 0.5077)  2 V 1.86
O (0.6519, 0.3469, 0.0045)  2 V 1.92, 1 Mg 1.96
F (0.0470, 0.5906, 0.0305)  1 Mg 1.99, 2 V 2.11-2.17
F (0.1659, 0.3779, 0.5785)  2 V 2.04-2.08, 1 Mg 2.28
F (0.4062, 0.9515, 0.9806)  1 Mg 1.99, 2 V 2.12-2.17
F (0.6218, 0.8336, 0.4307)  2 V 2.04-2.08

Symmetry = P1 (1)

---

(two)
VASP calculation (GGA+U) on MgV2O2F4 after structural relaxation.

Lattice parameters (Å, degrees): 5.1901 5.2083 5.4833 115.01 93.83 117.59
Last column: nearest neighbours and their distance in Å.
Sites, in units of the cell vectors:
Mg (0.0000, 0.0000, 0.0000)  2 O 1.99-2.06, 4 F 2.01-2.19
V (0.3172, 0.6283, 0.9093)  2 O 1.88-1.96, 2 F 2.00-2.09
V (0.8186, 0.6283, 0.3977)  2 O 1.92-1.93, 4 F 2.08-2.13
O (0.7024, 0.7618, 0.1555)  2 V 1.92-1.96, 1 Mg 1.99
O (0.9899, 0.5891, 0.6931)  2 V 1.88-1.93, 1 Mg 2.06
F (0.0627, 0.4636, 0.1559)  1 Mg 2.04, 2 V 2.09-2.12
F (0.1737, 0.1402, 0.6932)  2 V 2.00-2.13, 1 Mg 2.19
F (0.4265, 0.1356, 0.1794)  1 Mg 2.01, 2 V 2.10-2.16
F (0.5969, 0.7770, 0.6781)  2 V 2.08-2.09, 1 Mg 2.09

Symmetry = P1 (1)

---

Of them, (two) has the highest stability.